Below is a relaxed BaCuSi2O6 crystal, with properties calculated at the GGA-PBE level.

Calculated values
Space group: I4/mmm
E_form (eV/atom): -2.856

Unit cell a=7.558 b=7.558 c=7.558 alpha=123.23 beta=123.23 gamma=84.49
Positions (direct):
Ba: 0.250 0.750 0.500
Ba: 0.750 0.250 0.500
Si: 0.726 0.274 0.000
Si: 0.726 0.726 0.452
Si: 0.274 0.274 0.548
Si: 0.274 0.726 0.000
O: 0.318 0.933 0.000
O: 0.500 0.765 0.265
O: 0.235 0.500 0.735
O: 0.682 0.682 0.615
O: 0.067 0.682 0.000
O: 0.318 0.318 0.385
O: 0.933 0.933 0.615
O: 0.765 0.500 0.265
O: 0.682 0.067 0.000
O: 0.067 0.067 0.385
O: 0.500 0.235 0.735
O: 0.933 0.318 0.000
Cu: 0.879 0.879 0.000
Cu: 0.121 0.121 0.000

=====

Below is a relaxed UC3SN2O8 crystal, with properties calculated at the GGA-PBE level.

Calculated values
Space group: C2/c
E_form (eV/atom): -0.687

Unit cell a=8.469 b=8.469 c=9.718 alpha=99.25 beta=99.25 gamma=108.60
Positions (direct):
C: 0.472 0.077 0.523
C: 0.923 0.528 0.977
C: 0.528 0.923 0.477
C: 0.103 0.897 0.750
C: 0.077 0.472 0.023
C: 0.897 0.103 0.250
S: 0.780 0.220 0.250
S: 0.220 0.780 0.750
N: 0.984 0.016 0.250
N: 0.016 0.984 0.750
N: 0.522 0.478 0.250
N: 0.478 0.522 0.750
O: 0.191 0.571 0.128
O: 0.929 0.668 0.052
O: 0.429 0.809 0.372
O: 0.427 0.276 0.962
O: 0.332 0.071 0.448
O: 0.571 0.191 0.628
O: 0.947 0.278 0.633
O: 0.276 0.427 0.462
O: 0.809 0.429 0.872
O: 0.724 0.573 0.538
O: 0.668 0.929 0.552
O: 0.573 0.724 0.038
O: 0.278 0.947 0.133
O: 0.722 0.053 0.867
O: 0.071 0.332 0.948
O: 0.053 0.722 0.367
U: 0.167 0.833 0.250
U: 0.833 0.167 0.750

=====

Below is a relaxed MgTa2Te4Br10O crystal, with properties calculated at the GGA-PBE level.

Calculated values
Space group: P1
E_form (eV/atom): -0.933

Unit cell a=7.928 b=9.279 c=10.135 alpha=78.50 beta=89.28 gamma=79.67
Positions (direct):
O: 0.489 0.496 0.507
Ta: 0.535 0.618 0.628
Ta: 0.449 0.375 0.384
Br: 0.411 0.153 0.253
Br: 0.620 0.485 0.200
Br: 0.824 0.469 0.711
Br: 0.587 0.836 0.761
Br: 0.692 0.772 0.431
Br: 0.277 0.225 0.574
Br: 0.169 0.529 0.288
Br: 0.258 0.815 0.539
Br: 0.720 0.175 0.488
Br: 0.382 0.502 0.821
Te: 0.160 0.903 0.154
Te: 0.847 0.107 0.852
Te: 0.942 0.812 0.992
Te: 0.065 0.197 0.015
Mg: 0.490 0.996 0.513

=====

Below is a relaxed CuGeN2 crystal, with properties calculated at the GGA-PBE level.

Calculated values
Space group: Pbca
E_form (eV/atom): 0.130

Unit cell a=5.268 b=10.544 c=13.194 alpha=90.00 beta=90.00 gamma=90.00
Positions (direct):
N: 0.703 0.464 0.072
N: 0.797 0.964 0.072
N: 0.820 0.519 0.800
N: 0.867 0.779 0.446
N: 0.853 0.716 0.179
N: 0.633 0.279 0.446
N: 0.367 0.779 0.054
N: 0.297 0.536 0.928
N: 0.353 0.784 0.821
N: 0.180 0.481 0.200
N: 0.703 0.036 0.572
N: 0.133 0.221 0.554
N: 0.680 0.481 0.300
N: 0.820 0.981 0.300
N: 0.647 0.284 0.679
N: 0.147 0.284 0.821
N: 0.353 0.716 0.321
N: 0.633 0.221 0.946
N: 0.147 0.216 0.321
N: 0.680 0.019 0.800
N: 0.180 0.019 0.700
N: 0.367 0.721 0.554
N: 0.320 0.519 0.700
N: 0.203 0.464 0.428
N: 0.320 0.981 0.200
N: 0.297 0.964 0.428
N: 0.203 0.036 0.928
N: 0.133 0.279 0.054
N: 0.647 0.216 0.179
N: 0.867 0.721 0.946
N: 0.797 0.536 0.572
N: 0.853 0.784 0.679
Ge: 0.281 0.291 0.440
Ge: 0.719 0.709 0.560
Ge: 0.781 0.291 0.060
Ge: 0.652 0.462 0.686
Ge: 0.219 0.791 0.440
Ge: 0.848 0.538 0.186
Ge: 0.848 0.962 0.686
Ge: 0.152 0.038 0.314
Ge: 0.781 0.209 0.560
Ge: 0.348 0.538 0.314
Ge: 0.652 0.038 0.186
Ge: 0.152 0.462 0.814
Ge: 0.219 0.709 0.940
Ge: 0.719 0.791 0.060
Ge: 0.281 0.209 0.940
Ge: 0.348 0.962 0.814
Cu: 0.722 0.716 0.808
Cu: 0.191 0.536 0.563
Cu: 0.778 0.216 0.808
Cu: 0.278 0.216 0.692
Cu: 0.222 0.784 0.192
Cu: 0.778 0.284 0.308
Cu: 0.309 0.464 0.063
Cu: 0.722 0.784 0.308
Cu: 0.691 0.964 0.437
Cu: 0.222 0.716 0.692
Cu: 0.809 0.464 0.437
Cu: 0.691 0.536 0.937
Cu: 0.278 0.284 0.192
Cu: 0.809 0.036 0.937
Cu: 0.191 0.964 0.063
Cu: 0.309 0.036 0.563

=====

Below is a relaxed SrCaPrSbO6 crystal, with properties calculated at the GGA-PBE level.

Calculated values
Space group: P42_12
E_form (eV/atom): -2.939

Unit cell a=5.924 b=5.924 c=8.607 alpha=90.00 beta=90.00 gamma=90.00
Positions (direct):
O: 0.348 0.305 0.243
O: 0.000 0.500 0.985
O: 0.695 0.652 0.757
O: 0.805 0.152 0.243
O: 0.195 0.848 0.243
O: 0.152 0.805 0.757
O: 0.305 0.348 0.757
O: 0.500 0.000 0.480
O: 0.000 0.500 0.520
O: 0.848 0.195 0.757
O: 0.652 0.695 0.243
O: 0.500 0.000 0.015
Ca: 0.500 0.500 0.000
Ca: 0.000 0.000 0.000
Pr: 0.000 0.500 0.248
Pr: 0.500 0.000 0.752
Sr: 0.500 0.500 0.500
Sr: 0.000 0.000 0.500
Sb: 0.000 0.500 0.755
Sb: 0.500 0.000 0.245

=====

Below is a relaxed Co3Sn crystal, with properties calculated at the GGA-PBE level.

Calculated values
Space group: Cmmm
E_form (eV/atom): 0.191

Unit cell a=3.040 b=3.040 c=5.714 alpha=90.00 beta=90.00 gamma=89.90
Positions (direct):
Sn: 0.000 0.000 0.000
Co: 0.500 0.500 0.278
Co: 0.500 0.500 0.722
Co: 0.000 0.000 0.500

=====

Below is a relaxed TiNbN2 crystal, with properties calculated at the GGA-PBE level.

Calculated values
Space group: P4/mmm
E_form (eV/atom): -1.462

Unit cell a=3.093 b=3.093 c=4.358 alpha=90.00 beta=90.00 gamma=90.00
Positions (direct):
Ti: 0.000 0.000 0.000
Nb: 0.500 0.500 0.500
N: 0.000 0.000 0.500
N: 0.500 0.500 0.000

=====

Below is a relaxed NaMg6C crystal, with properties calculated at the GGA-PBE level.

Calculated values
E_form (eV/atom): 0.407

Unit cell a=3.689 b=6.877 c=14.579 alpha=90.00 beta=90.00 gamma=90.00
Positions (direct):
Mg: 0.500 0.277 0.954
Mg: 0.000 0.500 0.821
Mg: 0.500 0.223 0.454
Mg: 0.000 0.000 0.321
Mg: 0.500 0.723 0.954
Mg: 0.000 0.188 0.607
Mg: 0.000 0.812 0.607
Mg: 0.500 0.000 0.161
Mg: 0.000 0.312 0.107
Mg: 0.500 0.500 0.661
Mg: 0.500 0.777 0.454
Mg: 0.000 0.688 0.107
C: 0.500 0.500 0.081
C: 0.500 0.000 0.581
Na: 0.000 0.000 0.815
Na: 0.000 0.500 0.315

=====

Below is a relaxed Li12Mg3Si4 crystal, with properties calculated at the GGA-PBE level.

Calculated values
Space group: I-43d
E_form (eV/atom): -0.215

Unit cell a=9.253 b=9.253 c=9.253 alpha=109.47 beta=109.47 gamma=109.47
Positions (direct):
Li: 0.918 0.730 0.887
Li: 0.387 0.230 0.418
Li: 0.469 0.813 0.582
Li: 0.969 0.082 0.313
Li: 0.582 0.469 0.813
Li: 0.613 0.344 0.031
Li: 0.270 0.656 0.187
Li: 0.313 0.969 0.082
Li: 0.770 0.687 0.156
Li: 0.656 0.187 0.270
Li: 0.344 0.031 0.613
Li: 0.813 0.582 0.469
Li: 0.844 0.113 0.531
Li: 0.113 0.531 0.844
Li: 0.687 0.156 0.770
Li: 0.156 0.770 0.687
Li: 0.730 0.887 0.918
Li: 0.531 0.844 0.113
Li: 0.082 0.313 0.969
Li: 0.187 0.270 0.656
Li: 0.230 0.418 0.387
Li: 0.418 0.387 0.230
Li: 0.031 0.613 0.344
Li: 0.887 0.918 0.730
Mg: 0.750 0.375 0.625
Mg: 0.625 0.750 0.375
Mg: 0.375 0.625 0.750
Mg: 0.125 0.875 0.250
Mg: 0.250 0.125 0.875
Mg: 0.875 0.250 0.125
Si: 0.500 0.000 0.406
Si: 0.594 0.594 0.594
Si: 0.000 0.406 0.500
Si: 0.906 0.500 0.000
Si: 0.000 0.906 0.500
Si: 0.500 0.000 0.906
Si: 0.094 0.094 0.094
Si: 0.406 0.500 0.000

=====

Below is a relaxed Mg3B7BrO13 crystal, with properties calculated at the GGA-PBE level.

Calculated values
Space group: F-43c
E_form (eV/atom): -2.867

Unit cell a=8.622 b=8.622 c=8.622 alpha=60.00 beta=60.00 gamma=60.00
Positions (direct):
O: 0.937 0.258 0.104
O: 0.437 0.758 0.201
O: 0.258 0.104 0.937
O: 0.104 0.937 0.258
O: 0.201 0.437 0.758
O: 0.500 0.500 0.500
O: 0.701 0.258 0.937
O: 0.201 0.604 0.437
O: 0.437 0.604 0.758
O: 0.701 0.937 0.104
O: 0.104 0.258 0.701
O: 0.937 0.104 0.701
O: 0.258 0.701 0.104
O: 0.604 0.758 0.437
O: 0.000 0.000 0.000
O: 0.201 0.758 0.604
O: 0.758 0.604 0.201
O: 0.104 0.701 0.937
O: 0.758 0.201 0.437
O: 0.701 0.104 0.258
O: 0.758 0.437 0.604
O: 0.937 0.701 0.258
O: 0.437 0.201 0.604
O: 0.258 0.937 0.701
O: 0.604 0.201 0.758
O: 0.604 0.437 0.201
B: 0.580 0.580 0.259
B: 0.250 0.750 0.250
B: 0.259 0.580 0.580
B: 0.080 0.080 0.080
B: 0.250 0.750 0.750
B: 0.580 0.259 0.580
B: 0.080 0.759 0.080
B: 0.750 0.250 0.250
B: 0.750 0.750 0.250
B: 0.759 0.080 0.080
B: 0.250 0.250 0.750
B: 0.080 0.080 0.759
B: 0.750 0.250 0.750
B: 0.580 0.580 0.580
Br: 0.250 0.250 0.250
Br: 0.750 0.750 0.750
Mg: 0.500 0.500 0.000
Mg: 0.500 0.000 0.000
Mg: 0.000 0.500 0.500
Mg: 0.000 0.000 0.500
Mg: 0.000 0.500 0.000
Mg: 0.500 0.000 0.500

=====

Below is a relaxed Ce2SbAu3 crystal, with properties calculated at the GGA-PBE level.

Calculated values
Space group: Pmm2
E_form (eV/atom): -0.718

Unit cell a=3.597 b=4.798 c=8.440 alpha=90.00 beta=90.00 gamma=90.00
Positions (direct):
Au: 0.500 0.000 0.668
Au: 0.500 0.500 0.162
Au: 0.500 0.500 0.834
Ce: 0.000 0.500 0.518
Ce: 0.000 0.000 0.983
Sb: 0.500 0.000 0.333

=====

Below is a relaxed KSrI3 crystal, with properties calculated at the GGA-PBE level.

Calculated values
Space group: Cmcm
E_form (eV/atom): -1.852

Unit cell a=8.173 b=8.173 c=12.172 alpha=90.00 beta=90.00 gamma=145.94
Positions (direct):
Sr: 0.000 0.000 0.500
Sr: 0.000 0.000 0.000
I: 0.082 0.918 0.750
I: 0.640 0.360 0.441
I: 0.918 0.082 0.250
I: 0.360 0.640 0.559
I: 0.360 0.640 0.941
I: 0.640 0.360 0.059
K: 0.247 0.753 0.250
K: 0.753 0.247 0.750